Sr2MgTi6N2O11 | GGA-PBE | relaxed

a = 3.891 Å, b = 7.572 Å, c = 10.001 Å
α = 75.75°, β = 88.30°, γ = 76.39°
Space group P1 (No. 1)
Inequivalent atoms, fractional coordinates:
Sr 0.000 0.000 0.000 [1 per cell]
Sr 0.085 0.853 0.367 [1 per cell]
Mg 0.299 0.807 0.707 [1 per cell]
Ti 0.329 0.366 0.056 [1 per cell]
Ti 0.373 0.207 0.399 [1 per cell]
Ti 0.423 0.179 0.752 [1 per cell]
Ti 0.709 0.644 0.954 [1 per cell]
Ti 0.742 0.519 0.246 [1 per cell]
Ti 0.791 0.454 0.585 [1 per cell]
N 0.395 0.231 0.922 [1 per cell]
N 0.814 0.390 0.096 [1 per cell]
O 0.213 0.637 0.921 [1 per cell]
O 0.254 0.491 0.263 [1 per cell]
O 0.319 0.388 0.574 [1 per cell]
O 0.392 0.985 0.529 [1 per cell]
O 0.435 0.108 0.249 [1 per cell]
O 0.553 0.914 0.827 [1 per cell]
O 0.633 0.763 0.109 [1 per cell]
O 0.686 0.641 0.414 [1 per cell]
O 0.730 0.604 0.703 [1 per cell]
O 0.844 0.269 0.404 [1 per cell]
O 0.917 0.185 0.718 [1 per cell]

**M_tot**: 0.84 μB/f.u.
**Final energy**: -8.23 eV per atom
**Offset from the most stable computed form**: 79 meV/atom